Version a
Entry from the Materials Project: an optimized crystal structure of Na5CoO4 (PBE+U).

Unit cell a=7.671 b=6.073 c=5.921 alpha=90.00 beta=90.00 gamma=90.00
Space group Pmn2_1 (No. 31)
Inequivalent atoms, fractional coordinates:
Na1 0.000 0.175 0.000
Na2 0.184 0.568 0.686
Na3 0.199 0.111 0.502
Co1 0.000 0.674 0.249
O1 0.000 0.372 0.351
O2 0.000 0.759 0.943
O3 0.221 0.767 0.355

Version b
Entry from the Materials Project: an optimized crystal structure of Na5CoO4 (PBE+U).

Unit cell a=10.361 b=10.658 c=10.492 alpha=90.00 beta=90.00 gamma=90.00
Space group Pbca (No. 61)
Inequivalent atoms, fractional coordinates:
Na1 0.090 0.147 0.120
Na2 0.100 0.661 0.879
Na3 0.135 0.617 0.155
Na4 0.148 0.105 0.386
Na5 0.162 0.613 0.606
Co1 0.117 0.126 0.852
O1 0.003 0.021 0.763
O2 0.005 0.242 0.947
O3 0.225 0.235 0.755
O4 0.231 0.051 0.976

version a is the least stable structure shown above.